1.
Below is a geometry-optimized Nb3Pb2O8F4 structure, with properties calculated at the GGA-PBE level.

Output
total DFT energy (no corrections): -124.8 eV for the cell shown
energy with MP2020 corrections: -7.772 eV/atom

Lattice parameters (Å, degrees): 16.8191 16.8191 16.8191 166.57 166.57 19.04
Sites, in units of the cell vectors:
Nb 0.0000 0.0000 0.0000
Nb 0.1174 0.1174 0.0000
Nb 0.8826 0.8826 0.0000
Pb 0.2975 0.2975 0.0000
Pb 0.7025 0.7025 0.0000
O 0.0000 0.5000 0.5000
O 0.0614 0.0614 0.0000
O 0.1285 0.6285 0.5000
O 0.3715 0.8715 0.5000
O 0.5000 0.0000 0.5000
O 0.6285 0.1285 0.5000
O 0.8715 0.3715 0.5000
O 0.9386 0.9386 0.0000
F 0.1856 0.1856 0.0000
F 0.2500 0.7500 0.5000
F 0.7500 0.2500 0.5000
F 0.8144 0.8144 0.0000

***

2.
Below is a geometry-optimized Zn3Sn structure, with properties calculated at the GGA-PBE level.

Output
total DFT energy (no corrections): -7.3 eV for the cell shown

Lattice parameters (Å, degrees): 5.2579 5.2579 5.2579 133.57 133.57 67.75
Sites, in units of the cell vectors:
Zn 0.0000 0.0000 0.0000
Zn 0.2500 0.7500 0.5000
Zn 0.7500 0.2500 0.5000
Sn 0.5000 0.5000 0.0000

***

3.
Below is a geometry-optimized La2Ta2O9 structure, with properties calculated at the GGA-PBE level.

Output
total DFT energy (no corrections): -229.8 eV for the cell shown
energy with MP2020 corrections: -9.313 eV/atom

Lattice parameters (Å, degrees): 6.8088 3.9281 15.7401 90.00 112.61 90.00
Sites, in units of the cell vectors:
La 0.1868 0.0059 0.1955
La 0.1868 0.4941 0.6955
La 0.8132 0.5059 0.3045
La 0.8132 0.9941 0.8045
Ta 0.1956 0.0042 0.4621
Ta 0.1956 0.4958 0.9621
Ta 0.8044 0.5042 0.0379
Ta 0.8044 0.9958 0.5379
O 0.0806 0.0020 0.3257
O 0.0806 0.4980 0.8257
O 0.1557 0.0011 0.5796
O 0.1557 0.4989 0.0796
O 0.1620 0.5018 0.4532
O 0.1620 0.9982 0.9532
O 0.4376 0.5078 0.2790
O 0.4376 0.9922 0.7790
O 0.5000 0.0000 0.5000
O 0.5000 0.5000 0.0000
O 0.5624 0.0078 0.2210
O 0.5624 0.4922 0.7210
O 0.8380 0.0018 0.0468
O 0.8380 0.4982 0.5468
O 0.8443 0.5011 0.9204
O 0.8443 0.9989 0.4204
O 0.9194 0.5020 0.1743
O 0.9194 0.9980 0.6743

***

4.
Below is a geometry-optimized KBaYB6O12 structure, with properties calculated at the GGA-PBE level.

Output
total DFT energy (no corrections): -165.2 eV for the cell shown
energy with MP2020 corrections: -8.260 eV/atom

Lattice parameters (Å, degrees): 7.2969 7.2969 7.2969 59.51 59.51 59.51
Sites, in units of the cell vectors:
K 0.0000 0.0000 0.0000
Ba 0.5808 0.5808 0.5808
Y 0.7901 0.7901 0.7901
B 0.0362 0.1552 0.4220
B 0.1552 0.4220 0.0362
B 0.1557 0.5411 0.4220
B 0.4220 0.0362 0.1552
B 0.4220 0.1557 0.5411
B 0.5411 0.4220 0.1557
O 0.1155 0.6181 0.8711
O 0.2095 0.3244 0.5839
O 0.2533 0.9946 0.3701
O 0.3244 0.5839 0.2095
O 0.3701 0.2533 0.9946
O 0.4707 0.9541 0.6986
O 0.5839 0.2095 0.3244
O 0.6181 0.8711 0.1155
O 0.6986 0.4707 0.9541
O 0.8711 0.1155 0.6181
O 0.9541 0.6986 0.4707
O 0.9946 0.3701 0.2533

***

5.
Below is a geometry-optimized Na4CaHfSiP2O12 structure, with properties calculated at the GGA-PBE level.

Output
total DFT energy (no corrections): -881.9 eV for the cell shown
energy with MP2020 corrections: -7.392 eV/atom

Lattice parameters (Å, degrees): 9.3703 9.3703 22.3519 90.02 90.02 59.74
Sites, in units of the cell vectors:
Na 0.1343 0.4810 0.0067
Na 0.1374 0.8626 0.5000
Na 0.1420 0.8005 0.1714
Na 0.1491 0.1545 0.4182
Na 0.1490 0.5216 0.6692
Na 0.1545 0.1491 0.9182
Na 0.1914 0.8168 0.8396
Na 0.1931 0.4827 0.3298
Na 0.4671 0.8108 0.3352
Na 0.4691 0.8600 0.9980
Na 0.4810 0.1343 0.5067
Na 0.4810 0.5004 0.2518
Na 0.4827 0.1931 0.8298
Na 0.5004 0.4810 0.7518
Na 0.5216 0.1490 0.1692
Na 0.5288 0.8120 0.6649
Na 0.8005 0.1420 0.6714
Na 0.8108 0.4671 0.8352
Na 0.8120 0.5288 0.1649
Na 0.8132 0.8388 0.5846
Na 0.8168 0.1914 0.3396
Na 0.8388 0.8132 0.0846
Na 0.8600 0.4691 0.4980
Na 0.8626 0.1374 0.0000
Ca 0.1571 0.1584 0.0653
Ca 0.1584 0.1571 0.5653
Ca 0.4892 0.4932 0.8987
Ca 0.4932 0.4892 0.3987
Ca 0.8254 0.8290 0.7320
Ca 0.8290 0.8254 0.2320
Hf 0.1584 0.1607 0.2644
Hf 0.1607 0.1584 0.7644
Hf 0.4844 0.4961 0.0978
Hf 0.4961 0.4844 0.5978
Hf 0.8291 0.8299 0.9310
Hf 0.8299 0.8291 0.4310
Si 0.1268 0.8337 0.3273
Si 0.1666 0.4577 0.1604
Si 0.1836 0.7923 0.9936
Si 0.4577 0.1666 0.6604
Si 0.7923 0.1836 0.4936
Si 0.8337 0.1268 0.8273
P 0.1200 0.5180 0.8286
P 0.1721 0.8511 0.6622
P 0.1850 0.5030 0.4954
P 0.4537 0.8532 0.1617
P 0.5030 0.1850 0.9954
P 0.5038 0.7857 0.4955
P 0.5180 0.1200 0.3286
P 0.5204 0.8357 0.8286
P 0.7857 0.5038 0.9955
P 0.8357 0.5204 0.3286
P 0.8511 0.1721 0.1622
P 0.8532 0.4537 0.6617
O 0.0019 0.6185 0.8826
O 0.0051 0.3507 0.3268
O 0.0048 0.7913 0.9932
O 0.0090 0.6434 0.1649
O 0.0116 0.1279 0.8269
O 0.0132 0.6696 0.4939
O 0.0321 0.8123 0.6696
O 0.0490 0.6107 0.7701
O 0.0524 0.8079 0.2666
O 0.1226 0.3484 0.8274
O 0.1279 0.0116 0.3269
O 0.1406 0.9475 0.6044
O 0.1468 0.3802 0.0997
O 0.1503 0.9786 0.9996
O 0.1546 0.3580 0.5017
O 0.1854 0.3326 0.2184
O 0.1854 0.9536 0.7165
O 0.2788 0.4813 0.4375
O 0.2821 0.5233 0.5501
O 0.2818 0.7198 0.9326
O 0.2940 0.6646 0.0507
O 0.2962 0.4861 0.8349
O 0.3129 0.6777 0.3330
O 0.3326 0.1854 0.7184
O 0.3363 0.9509 0.2163
O 0.3432 0.6854 0.6605
O 0.3452 0.4607 0.1602
O 0.3484 0.1226 0.3274
O 0.3507 0.0051 0.8268
O 0.3580 0.1546 0.0017
O 0.3581 0.9629 0.5013
O 0.3802 0.1468 0.5997
O 0.3830 0.9455 0.1037
O 0.4607 0.3452 0.6602
O 0.4612 0.6810 0.1606
O 0.4782 0.7147 0.4379
O 0.4813 0.2788 0.9375
O 0.4861 0.2962 0.3349
O 0.4883 0.6917 0.8345
O 0.5184 0.6723 0.5505
O 0.5233 0.2821 0.0501
O 0.6107 0.0490 0.2701
O 0.6173 0.8097 0.7709
O 0.6172 0.8526 0.8836
O 0.6185 0.0019 0.3826
O 0.6290 0.8253 0.1688
O 0.6434 0.0090 0.6649
O 0.6646 0.2940 0.5507
O 0.6696 0.0132 0.9939
O 0.6723 0.5184 0.0505
O 0.6726 0.7846 0.4940
O 0.6777 0.3129 0.8330
O 0.6810 0.4612 0.6606
O 0.6854 0.3432 0.1605
O 0.6917 0.4883 0.3345
O 0.7147 0.4782 0.9379
O 0.7198 0.2818 0.4326
O 0.7846 0.6726 0.9940
O 0.7913 0.0048 0.4932
O 0.8079 0.0524 0.7666
O 0.8097 0.6173 0.2709
O 0.8123 0.0321 0.1696
O 0.8253 0.6290 0.6688
O 0.8517 0.9990 0.8848
O 0.8526 0.6172 0.3836
O 0.9455 0.3830 0.6037
O 0.9475 0.1406 0.1044
O 0.9509 0.3363 0.7163
O 0.9536 0.1854 0.2165
O 0.9629 0.3581 0.0013
O 0.9786 0.1503 0.4996
O 0.9990 0.8517 0.3848

***

6.
Below is a geometry-optimized GaBiO3 structure, with properties calculated at the GGA-PBE level.

Output
total DFT energy (no corrections): -118.1 eV for the cell shown
energy with MP2020 corrections: -6.316 eV/atom

Lattice parameters (Å, degrees): 5.4940 5.1946 10.1170 90.00 90.00 90.00
Sites, in units of the cell vectors:
Ga 0.2500 0.0000 0.1435
Ga 0.2500 0.0000 0.6435
Ga 0.7500 0.0000 0.3565
Ga 0.7500 0.0000 0.8565
Bi 0.2500 0.5000 0.3903
Bi 0.2500 0.5000 0.8903
Bi 0.7500 0.5000 0.1097
Bi 0.7500 0.5000 0.6097
O 0.0000 0.1457 0.2500
O 0.0000 0.8543 0.7500
O 0.0955 0.2676 0.5538
O 0.0955 0.7324 0.0538
O 0.4045 0.2676 0.0538
O 0.4045 0.7324 0.5538
O 0.5000 0.1457 0.7500
O 0.5000 0.8543 0.2500
O 0.5955 0.2676 0.4462
O 0.5955 0.7324 0.9462
O 0.9045 0.2676 0.9462
O 0.9045 0.7324 0.4462

***

7.
Below is a geometry-optimized Ce3B2N4 structure, with properties calculated at the GGA-PBE level.

Output
total DFT energy (no corrections): -77.0 eV for the cell shown
energy with MP2020 corrections: -8.721 eV/atom

Lattice parameters (Å, degrees): 6.3760 6.3760 6.3760 148.01 121.62 68.13
Sites, in units of the cell vectors:
Ce 0.0000 0.0000 0.0000
Ce 0.3030 0.8030 0.5000
Ce 0.6970 0.1970 0.5000
B 0.3573 0.5000 0.8573
B 0.6427 0.5000 0.1427
N 0.1163 0.3779 0.7383
N 0.3604 0.6221 0.7383
N 0.6396 0.3779 0.2616
N 0.8837 0.6221 0.2616

***

8.
Below is a geometry-optimized SrCd2 structure, with properties calculated at the GGA-PBE level.

Output
total DFT energy (no corrections): -9.1 eV for the cell shown

Lattice parameters (Å, degrees): 6.4602 6.4602 6.4602 133.02 102.00 96.31
Sites, in units of the cell vectors:
Sr 0.2958 0.0458 0.2500
Sr 0.7042 0.9542 0.7500
Cd 0.1094 0.6646 0.4448
Cd 0.2803 0.3354 0.9448
Cd 0.7197 0.6646 0.0552
Cd 0.8906 0.3354 0.5552

***

9.
Below is a geometry-optimized LiAg3F8 structure, with properties calculated at the GGA-PBE level.

Output
total DFT energy (no corrections): -83.4 eV for the cell shown
energy with MP2020 corrections: -3.783 eV/atom

Lattice parameters (Å, degrees): 5.3886 6.8987 9.9686 77.01 74.42 67.03
Sites, in units of the cell vectors:
Li 0.0000 0.0000 0.0000
Li 0.0647 0.5013 0.4988
Ag 0.2563 0.3809 0.1378
Ag 0.2862 0.8811 0.6381
Ag 0.5310 0.2511 0.7492
Ag 0.5314 0.7506 0.2495
Ag 0.7750 0.6209 0.8605
Ag 0.8052 0.1202 0.3611
F 0.0007 0.6481 0.6591
F 0.0607 0.8532 0.8398
F 0.1487 0.3902 0.9510
F 0.1615 0.7650 0.3755
F 0.3015 0.0403 0.1634
F 0.3020 0.2369 0.6226
F 0.3079 0.3528 0.3398
F 0.4907 0.6120 0.0470
F 0.5047 0.9610 0.8348
F 0.5574 0.5411 0.6638
F 0.5707 0.8912 0.4518
F 0.7538 0.1491 0.1589
F 0.7602 0.2653 0.8759
F 0.7616 0.4608 0.3351
F 0.9019 0.7363 0.1233
F 0.9145 0.1101 0.5476

***

10.
Below is a geometry-optimized NaZnAsO4 structure, with properties calculated at the GGA-PBE level.

Output
total DFT energy (no corrections): -226.9 eV for the cell shown
energy relative to the lowest polymorph listed for this composition: 3 meV/atom
energy with MP2020 corrections: -5.795 eV/atom

Lattice parameters (Å, degrees): 9.1545 9.1545 8.4436 90.00 90.00 120.00
Sites, in units of the cell vectors:
Na 0.0000 0.0000 0.0000
Na 0.0000 0.0000 0.5000
Na 0.3333 0.6667 0.0053
Na 0.3333 0.6667 0.5858
Na 0.6667 0.3333 0.0858
Na 0.6667 0.3333 0.5053
Zn 0.0148 0.6777 0.7082
Zn 0.3223 0.3372 0.7082
Zn 0.3372 0.0148 0.2082
Zn 0.6628 0.9852 0.7082
Zn 0.6777 0.6628 0.2082
Zn 0.9852 0.3223 0.2082
As 0.0274 0.6834 0.3174
As 0.3166 0.3440 0.3174
As 0.3440 0.0274 0.8174
As 0.6560 0.9726 0.3174
As 0.6834 0.6560 0.8174
As 0.9726 0.3166 0.8174
O 0.0980 0.2253 0.8103
O 0.0995 0.5318 0.7932
O 0.1273 0.9020 0.8103
O 0.1287 0.7324 0.4975
O 0.1847 0.7711 0.1759
O 0.2253 0.1273 0.3103
O 0.2289 0.4137 0.1759
O 0.2676 0.3963 0.4975
O 0.3963 0.1287 0.9975
O 0.4137 0.1847 0.6759
O 0.4323 0.9005 0.7932
O 0.4682 0.5677 0.7932
O 0.5318 0.4323 0.2932
O 0.5677 0.0995 0.2932
O 0.5863 0.8153 0.1759
O 0.6037 0.8713 0.4975
O 0.7324 0.6037 0.9975
O 0.7711 0.5863 0.6759
O 0.7747 0.8727 0.8103
O 0.8153 0.2289 0.6759
O 0.8713 0.2676 0.9975
O 0.8727 0.0980 0.3103
O 0.9005 0.4682 0.2932
O 0.9020 0.7747 0.3103

***

11.
Below is a geometry-optimized La3ZrSb5 structure, with properties calculated at the GGA-PBE level.

Output
total DFT energy (no corrections): -107.4 eV for the cell shown
energy with MP2020 corrections: -6.073 eV/atom

Lattice parameters (Å, degrees): 9.6548 9.6548 6.4212 90.00 90.00 120.00
Sites, in units of the cell vectors:
La 0.0000 0.3823 0.2500
La 0.0000 0.6177 0.7500
La 0.3823 0.0000 0.2500
La 0.3823 0.3823 0.7500
La 0.6177 0.0000 0.7500
La 0.6177 0.6177 0.2500
Zr 0.0000 0.0000 0.0000
Zr 0.0000 0.0000 0.5000
Sb 0.0000 0.2599 0.7500
Sb 0.0000 0.7401 0.2500
Sb 0.2599 0.0000 0.7500
Sb 0.2599 0.2599 0.2500
Sb 0.3333 0.6667 0.0000
Sb 0.3333 0.6667 0.5000
Sb 0.6667 0.3333 0.0000
Sb 0.6667 0.3333 0.5000
Sb 0.7401 0.0000 0.2500
Sb 0.7401 0.7401 0.7500

***

12.
Below is a geometry-optimized YMg14Mn structure, with properties calculated at the GGA-PBE level.

Output
total DFT energy (no corrections): -37.3 eV for the cell shown
energy relative to the lowest polymorph listed for this composition: 0 meV/atom

Lattice parameters (Å, degrees): 10.2791 6.4526 6.4526 59.09 90.00 90.00
Sites, in units of the cell vectors:
Y 0.0000 0.0000 0.0000
Mg 0.0000 0.0102 0.4924
Mg 0.0000 0.4924 0.0102
Mg 0.2387 0.6589 0.6589
Mg 0.2508 0.1695 0.6576
Mg 0.2508 0.6576 0.1695
Mg 0.2571 0.1643 0.1643
Mg 0.5000 0.4974 0.4974
Mg 0.5000 0.4986 0.9953
Mg 0.5000 0.9953 0.4986
Mg 0.5000 0.9965 0.9965
Mg 0.7429 0.1643 0.1643
Mg 0.7492 0.1695 0.6576
Mg 0.7492 0.6576 0.1695
Mg 0.7613 0.6589 0.6589
Mn 0.0000 0.4890 0.4890